Record 1
# Na14Al4Si9Sn4S3O48

An optimized crystal structure of Na14Al4Si9Sn4S3O48 (GGA-PBE, Materials Project).

```
246
Lattice="17.8507 0.0002 0.0276 -4.4626 7.7294 -0.0098 0.0362 -0.0077 22.1554" Properties=species:S:1:pos:R:3 pbc="T T T"
O 14.1137 4.1390 16.6171
O 9.9748 1.2564 17.9979
O 5.0679 6.0730 17.9614
O 12.7699 4.0106 5.4609
O 15.1781 2.8840 14.3196
O 12.8078 4.0753 11.5466
O 16.3046 0.2573 17.9961
O 6.0763 2.7690 14.2771
O 11.9001 2.3342 16.6276
O 2.9361 2.4397 16.4536
O -3.4680 6.3640 9.0710
O 10.6283 4.7322 19.1299
O 12.2988 3.8849 14.2360
O 16.1508 0.1906 1.9188
O 12.5112 1.2990 5.3783
O 0.5716 3.7617 16.8853
O 5.6153 3.9068 3.1940
O 2.6819 2.9075 3.1463
O 3.5824 6.5389 20.1448
O -0.8350 3.9048 12.8313
O 8.3005 3.4381 21.5178
O 10.0876 6.4844 10.5270
O 6.0463 2.3587 11.5838
O 3.5540 1.3582 5.4691
O -0.5556 6.6255 19.0002
O -2.9057 7.5905 20.0872
O 8.0155 3.8461 12.8359
O 6.1507 2.7087 20.5159
O 10.7343 5.5202 21.6685
O 6.1521 2.3696 5.4712
O -1.7809 5.4455 10.3910
O 1.6114 5.2633 5.5752
O 7.7858 6.4795 21.6522
O 5.0741 4.0015 0.5154
O 7.9169 1.2046 12.9938
O 7.8723 1.3910 6.7720
O 7.7801 3.7152 19.1403
O 11.7137 7.4639 15.3130
O 14.0794 0.9906 3.0656
O 9.5620 1.7163 15.3320
O 12.8478 6.2147 6.8629
O 14.8794 2.3729 5.3717
O 1.7369 4.9133 12.8438
O 9.8982 3.8779 7.8891
O 12.5757 3.8334 20.4871
O 9.5009 6.7877 7.9549
O 1.7647 5.4853 21.6483
O 8.2442 1.5206 20.2041
O 9.8365 1.2397 1.9840
O 8.3411 6.5612 12.7689
O 14.9939 2.3706 11.6025
O 7.1494 5.4322 10.3924
O 11.9173 7.5362 9.0452
O 5.4193 1.3118 16.5479
O -1.6521 5.3239 16.8297
O 9.5841 6.7518 1.7805
O -0.6517 1.5241 20.1441
O 3.6073 3.8305 20.4423
O 5.4656 6.3692 9.0655
O -1.1439 6.4966 21.6129
O 12.7971 0.8155 14.2646
O 3.4558 3.9582 14.1271
O -3.2917 6.3138 15.4624
O 0.9637 3.9694 1.6913
O 14.3950 3.9422 9.3710
O 0.5041 6.8234 8.0059
O 9.9208 3.9594 1.7677
O 8.3884 6.8091 19.0655
O 5.0252 6.2330 1.8563
O 14.4210 1.4079 16.6226
O -1.5565 5.0379 1.7559
O 1.6234 0.2762 6.8747
O 11.7736 2.8075 3.2106
O 8.2554 1.6720 4.3527
O 1.5974 0.2163 13.0565
O 0.9282 1.1923 1.8762
O -1.0731 3.7555 19.0924
O 0.6832 1.3536 9.0705
O -0.6679 3.7376 5.6935
O 3.9551 4.0719 5.5301
O 11.8727 2.7801 9.3341
O -0.4907 6.6230 12.8293
O 9.5616 1.3694 8.9985
O 14.4167 1.1804 0.6286
O 8.2197 3.5890 5.7119
O 10.4275 0.2152 12.9719
O 16.9030 1.2868 12.9508
O 1.2177 6.4831 10.5528
O 3.9069 1.0539 14.2809
O -2.6319 7.4166 4.1888
O 0.5902 3.4857 10.5372
O 7.3825 5.2684 16.8041
O 0.9270 6.3905 16.7875
O 12.5549 6.5204 20.1064
O 3.0231 2.7826 9.4534
O -1.7865 4.8796 8.0071
O 0.5893 1.6748 15.3336
O 2.9997 7.5620 9.0017
O 3.3885 1.2599 11.6197
O 14.0124 4.0330 0.5170
O 2.7497 7.3314 15.3049
O 6.2859 7.3340 4.2505
O 1.6769 4.8269 19.0575
O 3.7887 4.1543 11.6858
O 9.4853 3.6732 16.8029
O 9.8444 6.5042 16.6819
O 5.0525 3.9494 16.4507
O -0.6134 3.4133 21.4758
O 5.6321 6.4204 15.3511
O 6.0034 7.6238 20.1785
O 5.5166 1.1812 0.6175
O 0.6892 6.7473 1.7470
O 7.1748 4.8935 8.0007
O 3.9223 6.2708 6.8580
O 12.8775 1.2010 20.5659
O 12.8009 6.3054 12.9811
O 3.7983 6.1483 12.9790
O 5.4539 3.9632 9.3556
O 15.1089 2.7236 20.4648
O 8.0242 6.3059 5.8134
O 1.1923 3.8126 7.9419
O -0.9780 6.3530 5.6761
O 10.5504 4.9455 12.8467
O 14.3728 3.8551 3.2033
O 14.1108 6.1221 17.8981
O 2.8046 2.2801 0.5379
O 7.3953 5.0434 1.7579
O 3.3489 6.4013 4.1732
O 10.5441 0.2689 6.8510
O 7.2479 0.2105 1.9333
O 16.7431 1.3168 6.8751
O 7.3479 0.2585 17.9646
O 5.1513 1.2105 9.3860
O 12.3035 1.2557 11.6123
O 5.1602 0.9469 3.0494
O 13.9492 6.2432 1.9179
O 9.4543 3.4371 10.4904
O 14.0487 1.2282 9.3982
O 11.6902 2.2657 0.5677
O 1.0785 1.2635 17.9480
O 3.9539 1.1567 20.4883
O 12.1780 6.4026 4.2222
O 10.4571 5.3047 5.7166
O -0.5378 1.6661 4.2410
Na 6.1230 4.9958 5.5598
Na 13.3180 2.5509 18.4587
Na 10.6431 2.2853 20.2402
Na 10.1478 2.5896 12.9348
Na 15.0295 0.1939 20.2528
Na -1.7093 7.4406 1.8123
Na 6.1185 0.1809 20.2048
Na -0.0467 5.0808 3.7411
Na 13.3817 7.7118 11.1053
Na 2.8356 0.3075 9.2062
Na 14.5824 5.2038 20.3975
Na 5.6275 5.2299 20.2847
Na 7.2943 2.8126 16.5013
Na 12.1458 5.1527 9.2791
Na -0.0276 5.1488 14.7891
Na 14.5872 0.0198 5.6220
Na 3.3468 0.0615 16.6114
Na 8.9486 5.1417 14.7540
Na -1.5412 2.7783 16.5372
Na 4.4448 2.5729 18.3694
Na 16.2324 2.2160 9.2984
Na 13.3736 2.5258 7.3974
Na 8.9710 0.0689 11.1052
Na 10.5710 7.4680 12.9306
Na 1.6298 7.5629 12.9666
Na 7.7337 7.6982 16.5936
Na 8.9307 5.1258 3.7588
Na -4.3779 7.6952 22.1316
Na 2.8592 5.3360 1.8415
Na 3.2307 5.1483 9.2057
Na 1.7221 2.2859 20.2203
Na 1.5743 2.8011 5.5782
Na 10.6635 2.8559 5.6081
Na 11.8202 5.3424 1.9077
Na 1.1968 2.5246 12.9157
Na 4.5527 7.7076 22.0918
Na 14.9953 4.8730 5.4884
Na 2.8746 4.8722 16.6277
Na 7.3552 2.2876 9.3673
Na 7.2782 7.5002 1.8312
Na 11.8174 0.3444 9.2493
Na 4.4125 2.4955 7.4481
Si 10.2437 2.8767 9.1509
Si 1.3802 7.4608 9.2257
Si 16.4931 2.2444 5.5698
Si 3.2082 5.5687 5.5933
Si 7.6266 7.4918 20.3449
Si 10.2784 7.4697 9.2234
Si 15.3544 0.0284 16.6922
Si 12.0679 0.2770 12.8839
Si 10.8315 2.5802 1.9153
Si 1.9085 7.7177 16.6753
Si 11.6438 5.1740 20.3208
Si 15.9420 2.6353 12.8857
Si 3.2246 0.3724 12.9777
Si 10.2601 2.2375 16.7258
Si 12.2021 4.7833 12.8677
Si 1.8085 2.5634 1.7901
Si 14.6582 4.7087 1.8657
Si 5.7495 5.4152 16.6316
Si 1.3201 2.2822 16.6822
Si 1.3808 2.8224 9.2488
Si 5.7771 4.7377 1.7801
Si 12.0963 5.4935 5.6166
Si 6.9574 2.5986 12.9312
Si 2.6720 5.1857 20.2873
Si -1.8550 7.7222 5.6098
Si 7.1388 7.6999 5.6394
Si -1.2691 7.4250 20.2348
S -1.2870 2.8627 20.2478
S -2.6419 5.1451 9.2004
S 7.6162 2.8384 20.3254
S 5.7772 0.3843 1.8137
S 6.3312 5.1504 9.1914
S -3.1275 5.4820 16.6801
S 14.6822 0.4148 1.8497
S 7.6353 2.2356 5.5954
S 3.2565 4.7679 12.9093
Sn 4.5829 7.6739 3.3034
Sn 0.1152 5.2019 6.9252
Sn 17.8427 0.0326 14.3023
Sn -4.4115 7.7240 3.3275
Sn 9.0012 5.0980 11.5464
Sn 8.9768 0.0478 14.4096
Sn 4.3882 2.6412 4.1328
Sn 8.9307 5.1407 0.4210
Sn 9.0644 5.2241 17.9858
Sn 13.3713 2.5140 15.1555
Sn -0.0611 5.1202 0.3736
Sn -0.0028 5.1602 11.4944
Al 13.3205 2.4822 10.7640
Al 9.1750 5.3230 7.0202
Al 4.4603 2.3346 10.7020
Al 4.2663 2.6661 21.6959
Al -4.3884 7.7148 18.8076
Al 4.5366 7.5987 18.7507
Al 13.3551 2.7224 4.2516
Al 4.5968 2.4573 15.3001
Al 8.9873 0.0164 7.8254
Al 17.7590 0.0976 7.7412
Al 0.2753 5.2544 18.0362
Al 13.1949 2.6652 21.7861
```

VASP energy   -1586.51 eV for the cell shown
SG   No. 1

Record 2
# Na6Ta2Al6Si5S7O48

An optimized crystal structure of Na6Ta2Al6Si5S7O48 (GGA-PBE, Materials Project).

```
222
Lattice="17.1882 -0.0647 -0.0482 -4.3250 7.4852 0.0003 -0.0611 -0.0345 22.1324" Properties=species:S:1:pos:R:3 pbc="T T T"
O 0.9280 1.3084 1.9794
O -0.6570 3.4439 5.6154
O 12.2543 5.9126 12.9678
O 4.8878 3.9680 0.6086
O 1.4121 0.2462 6.8325
O 1.5503 0.2187 12.9926
O -3.2974 6.2487 15.3625
O -1.5901 4.7215 1.7348
O -3.4342 6.2861 9.1174
O 0.9086 6.2271 16.7026
O 7.9248 6.5436 19.0847
O 7.5521 6.2899 21.4904
O 11.8546 1.1227 11.6449
O 11.2828 7.1575 15.2972
O 1.4129 4.6082 18.9623
O 13.4723 5.8315 17.9311
O 5.8556 2.2217 11.4696
O 5.7820 2.2906 5.2717
O -2.8103 7.2234 4.2358
O 8.0122 3.7261 5.7207
O 4.9155 5.9585 1.9354
O 4.8325 3.8761 16.4618
O 9.1054 6.2217 1.5868
O 9.5157 1.0766 17.9138
O -0.7253 1.4964 4.3175
O 5.7302 2.5633 20.4959
O 11.3921 2.5503 9.4319
O 10.2121 4.6512 19.1012
O 12.2419 0.9541 14.0693
O 5.1580 1.1677 16.4078
O 9.5735 3.6529 1.6966
O 13.5039 5.8918 1.8898
O 0.9410 6.3060 10.4487
O 13.7091 3.6416 9.4116
O 15.6494 0.1771 17.9201
O 9.1064 3.4762 16.7554
O -0.6095 6.4798 19.0445
O 6.9732 4.7318 1.6652
O 12.2438 5.7746 6.6710
O 14.3987 2.2738 5.2946
O 4.8612 0.9909 9.3326
O 16.0705 1.2512 6.6858
O 12.2644 3.8574 5.2310
O 0.6115 3.4690 16.7084
O 8.9756 3.3157 10.4468
O 5.1860 6.0529 15.3865
O 3.7267 6.0176 6.8605
O 7.5688 1.2824 6.8744
O 3.2770 6.2293 4.2482
O 0.5774 1.4914 9.0904
O 5.9199 7.2709 4.2853
O 6.8521 5.1825 10.3889
O 7.9719 1.3041 20.1552
O -1.4839 5.2061 10.5666
O 11.2575 2.6548 3.0177
O -1.5712 4.7031 7.9909
O 9.4296 6.1364 16.8003
O 0.9981 1.3371 17.8343
O 13.7524 1.2383 16.3522
O -1.3925 5.0900 16.8160
O -3.0157 7.3643 20.0920
O 3.6222 3.9482 11.5605
O 12.1933 3.9467 11.6313
O 0.6035 6.5039 8.0267
O 10.1724 5.1090 5.5629
O 5.2551 3.7714 3.0156
O 10.2945 0.1963 6.7174
O 9.1753 1.1771 8.9864
O -1.0397 3.6850 12.7531
O 10.1917 0.1240 13.0102
O 5.1781 3.6938 9.3152
O 13.8177 3.7391 2.9959
O 7.6287 6.2852 5.5853
O 13.4305 0.9345 3.1093
O 10.1552 4.7239 12.7567
O 13.8735 1.2092 0.4902
O 2.6512 2.7164 3.0189
O 0.6235 1.5036 15.4002
O -1.2742 6.1023 21.5890
O 1.0523 3.6300 8.0224
O 7.9582 6.4521 12.7284
O 4.8386 5.8548 17.8113
O 11.8938 3.7352 14.0610
O 5.8249 7.1999 20.1548
O 3.3429 6.2805 19.9760
O 6.8612 4.6694 7.9867
O 12.1824 1.0066 20.4376
O 11.3756 2.2351 16.3671
O 0.9076 3.7077 1.6775
O 5.8138 2.6835 14.1733
O 13.5248 3.9608 0.5503
O -0.9945 6.1680 5.7031
O 3.6161 6.0155 13.0907
O 14.3325 2.6421 20.4439
O 11.9119 1.2412 5.3291
O 5.1848 6.1385 9.0349
O -0.7137 3.4005 21.5387
O 1.3050 4.8009 12.6814
O 15.6685 0.0687 1.9672
O 11.8749 6.0605 4.2540
O 7.5501 3.7328 19.0563
O 14.4688 2.6129 14.0605
O 9.0116 6.3894 7.8545
O 11.2805 2.2930 0.5858
O -1.1699 3.6233 19.1256
O 13.4422 3.7931 16.3128
O 14.4557 2.1935 11.6500
O 0.6494 3.4376 10.4299
O 11.9105 3.6744 20.4792
O 3.2806 1.1332 11.6697
O -0.6955 6.4594 12.7759
O 3.6033 0.9294 14.1143
O 3.6107 1.0924 20.5611
O 10.1763 5.0956 21.5176
O 2.5510 7.2396 15.3761
O 6.8501 0.1998 17.7993
O 1.4535 5.1206 5.7150
O 9.6467 3.6824 7.9034
O 2.6047 2.2810 0.6000
O 6.9867 0.1677 1.9190
O 1.4944 5.2958 21.5455
O 6.8942 5.1404 16.7033
O 3.1361 3.6567 14.2152
O -0.7456 1.4571 20.2047
O 9.5693 6.0525 10.4629
O 2.7172 2.2197 16.4470
O 16.1875 1.2233 12.9801
O 4.9254 0.9475 3.0160
O 2.6363 7.2822 9.1124
O 0.5605 6.4318 1.6993
O 3.3753 1.2807 5.3041
O 7.6678 3.8934 12.6815
O 5.2599 1.1146 0.5897
O 3.7071 3.8420 5.3067
O 3.2948 3.6345 20.4561
O 2.7191 2.6031 9.3853
O 13.4331 0.9999 9.3799
O 9.6203 1.2236 1.8953
O 8.0654 1.4961 4.2562
O 11.8770 6.0675 20.1818
O 9.1054 1.3762 15.3025
O 8.0110 3.5289 21.6331
O 7.6440 1.2226 12.9688
O 11.4069 7.1932 8.8943
S 1.2549 2.1666 16.6232
S 15.2679 2.4413 12.8496
S 6.0271 4.9259 9.1889
S 10.4481 2.4860 1.7879
S 1.8367 2.5620 1.8175
S 11.0131 4.8768 20.3346
S 6.0230 -0.0144 16.5956
S 1.1731 7.1413 9.2812
S 5.3727 5.2483 16.5967
S 1.2544 2.7934 9.2626
S 11.6024 4.5009 12.8542
S 3.0695 0.3241 12.8820
S 11.7113 0.3029 12.8681
S 5.4469 0.3239 1.8049
S 14.1468 4.5017 1.7806
S -1.3511 2.7944 20.3233
S 15.8469 2.0433 5.5042
S 7.2817 7.1101 20.2993
S 11.6277 5.1815 5.4950
S 11.1213 -0.0170 5.5231
S 5.5104 4.5544 1.8067
Na 8.5309 4.9441 3.6916
Na 1.5315 2.2355 20.2031
Na 14.0227 4.9543 20.1247
Na 4.2017 7.3892 11.0125
Na 12.9211 2.4012 7.4695
Na 4.2180 2.4874 7.2366
Na -0.0381 4.9370 14.7597
Na 17.1323 -0.0541 10.9075
Na 12.8083 2.3539 18.2090
Na 7.0541 2.2340 9.2607
Na 4.2663 2.5139 18.4647
Na 0.0338 5.0336 3.6555
Na 17.0561 -0.0657 22.0020
Na 4.2157 7.3812 21.9582
Na 8.5218 4.8764 14.5961
Na 11.3235 0.1807 9.1868
Na 5.7843 0.1776 20.2364
Na 11.6474 4.8921 9.2107
Al 4.2637 2.5528 10.7756
Al 12.8506 2.4215 15.3493
Al 12.8477 2.3052 4.0074
Al 12.9341 2.3706 10.4218
Al 8.5438 4.9797 0.4165
Al 8.5355 0.0463 18.9605
Al 12.8509 2.2775 21.7022
Al -0.0481 4.9330 11.5370
Al 8.6356 4.8408 7.0293
Al 8.6096 4.7937 11.3717
Al 4.2626 2.5661 14.9829
Al -4.3127 7.3732 18.7300
Al 0.0167 5.1110 0.2073
Al 8.5019 0.0265 7.7065
Al -4.2320 7.4311 7.9937
Al 4.2539 2.5393 21.4768
Al 4.3052 2.4786 4.3406
Al -0.0507 5.1197 18.0358
Si 3.0903 5.2595 5.6185
Si -2.9972 5.2132 16.6978
Si 9.8402 1.9659 16.6339
Si 14.6814 0.0035 16.6597
Si -2.5016 4.9826 9.3610
Si 2.4055 4.9681 20.2068
Si 13.9985 0.2417 1.7663
Si 9.7888 7.0249 9.1561
Si 7.3312 2.2659 5.6246
Si 6.6803 2.6213 12.8136
Si 2.8958 4.5194 12.8729
Si -1.3811 7.1222 20.3057
Si 9.7921 2.7091 9.1898
Si 2.3992 0.0694 5.5999
Si 7.3295 2.7727 20.3964
Ta 12.8365 7.3132 14.3217
Ta 12.8470 7.3781 3.1267
Ta 8.5094 0.0106 3.2803
Ta 8.5075 4.8317 17.8715
Ta -0.0936 5.0114 6.8885
Ta 8.4750 0.0371 14.1260
```

VASP energy   -1525.32 eV for the cell shown
SG   No. 1

Which of these has the lowest VASP energy?
Na14Al4Si9Sn4S3O48